[1]
First-principles (PBE) data for B9H11 after structural relaxation, as listed in Materials Project.

a = 9.3011 Å, b = 13.4087 Å, c = 12.7466 Å
α = 90.00°, β = 109.68°, γ = 90.00°
Closest atoms and distances in Å follow each position.
Space group P2_1/c (No. 14)
Symmetry-distinct sites (fractional):
B 0.0103 0.0910 0.1474 (multiplicity 4)  2 H 1.19-1.33
B 0.0362 0.5842 0.2276 (multiplicity 4)  2 H 1.19-1.33
B 0.0865 0.5043 0.7385 (multiplicity 4)  1 H 1.20
B 0.0875 0.1578 0.4039 (multiplicity 4)  2 H 1.19-1.31
B 0.1205 0.0329 0.3779 (multiplicity 4)  1 H 1.20
B 0.2093 0.0695 0.1890 (multiplicity 4)  2 H 1.19-1.33
B 0.2352 0.2319 0.3817 (multiplicity 4)  2 H 1.37
B 0.2760 0.0265 0.3262 (multiplicity 4)  1 H 1.19
B 0.2787 0.1122 0.4336 (multiplicity 4)  1 H 1.19
B 0.2816 0.2197 0.7714 (multiplicity 4)  1 H 1.19
B 0.3277 0.1491 0.8980 (multiplicity 4)  2 H 1.19-1.31
B 0.3361 0.1510 0.3156 (multiplicity 4)  6 B 1.77-1.98
B 0.3556 0.7288 0.0028 (multiplicity 4)  2 H 1.19-1.33
B 0.3797 0.7211 0.6317 (multiplicity 4)  1 H 1.19
B 0.4373 0.6535 0.1227 (multiplicity 4)  2 H 1.19-1.33
B 0.4499 0.6535 0.5366 (multiplicity 4)  2 H 1.19-1.33
B 0.4506 0.1498 0.8196 (multiplicity 4)  1 H 1.19
B 0.4549 0.2278 0.2667 (multiplicity 4)  1 H 1.20
H 0.0345 0.1781 0.4740 (multiplicity 4)  1 B 1.19
H 0.0408 0.6592 0.2970 (multiplicity 4)  2 B 1.33-1.34
H 0.0513 0.5885 0.7103 (multiplicity 4)  1 B 1.20
H 0.0773 0.5880 0.4454 (multiplicity 4)  1 B 1.19
H 0.0794 0.2391 0.3448 (multiplicity 4)  2 B 1.31-1.37
H 0.0905 0.5235 0.9402 (multiplicity 4)  1 B 1.20
H 0.1245 0.1492 0.1453 (multiplicity 4)  2 B 1.33
H 0.1655 0.5689 0.2346 (multiplicity 4)  1 B 1.19
H 0.1847 0.1957 0.6868 (multiplicity 4)  1 B 1.19
H 0.2426 0.7123 0.9258 (multiplicity 4)  1 B 1.19
H 0.2637 0.0745 0.9065 (multiplicity 4)  1 B 1.19
H 0.2647 0.0449 0.1211 (multiplicity 4)  1 B 1.19
H 0.2738 0.6987 0.6598 (multiplicity 4)  1 B 1.19
H 0.3120 0.2115 0.9728 (multiplicity 4)  2 B 1.31-1.37
H 0.3653 0.1001 0.5258 (multiplicity 4)  1 B 1.19
H 0.3712 0.5371 0.8469 (multiplicity 4)  1 B 1.19
H 0.3738 0.5805 0.1379 (multiplicity 4)  1 B 1.19
H 0.3939 0.5820 0.4829 (multiplicity 4)  1 B 1.19
H 0.4393 0.6458 0.0193 (multiplicity 4)  2 B 1.33
H 0.4501 0.7221 0.4614 (multiplicity 4)  2 B 1.33-1.34
H 0.4526 0.0724 0.7739 (multiplicity 4)  1 B 1.19
H 0.4634 0.2079 0.1775 (multiplicity 4)  1 B 1.20

## Properties
- corrected total energy (MP2020 scheme) (eV/atom) = -5.06
- E_form (eV/atom) = -0.19
- energy relative to the lowest polymorph listed for this composition (meV/atom) = 2.6


[2]
First-principles (PBE) data for V6CoIr after structural relaxation, as listed in Materials Project.

a = 4.7207 Å, b = 4.7207 Å, c = 4.7207 Å
α = 90.00°, β = 90.00°, γ = 90.00°
Closest atoms and distances in Å follow each position.
Space group Pm-3 (No. 200)
Symmetry-distinct sites (fractional):
V 0.0000 0.2457 0.5000 (multiplicity 6)  2 V 2.32-2.40
Co 0.0000 0.0000 0.0000 (multiplicity 1)  12 V 2.63
Ir 0.5000 0.5000 0.5000 (multiplicity 1)  12 V 2.65

## Properties
- E_form (eV/atom) = -0.34